Record 1
The following is a GGA-PBE calculation of an optimized crystal structure of CeSi2, from the Materials Project.

Calculated volume in Å³/f.u.: 59
Calculated density in g/cm3: 5.496
Corrected total energy (MP2020 scheme) in eV per atom: -6.21

a b c (Å): 7.645 7.645 7.645
angles (deg): 148.93 148.93 44.51
Fractional coordinates of all 6 atoms:
Si (0.166, 0.666, 0.500)
Si (0.584, 0.584, 0.000)
Ce (0.750, 0.250, 0.500)
Si (0.416, 0.416, 0.000)
Si (0.334, 0.834, 0.500)
Ce (0.000, 0.000, 0.000)

Record 2
The following is a GGA-PBE calculation of an optimized crystal structure of LuSeClO3, from the Materials Project.

Magnetization in Bohr magnetons per cell: 0.071
Calculated volume in Å³/f.u.: 108
Calculated density in g/cm3: 5.178
Corrected total energy (MP2020 scheme) in eV per atom: -6.52

a b c (Å): 6.862 7.239 8.712
angles (deg): 90.00 90.00 90.00
Fractional coordinates of all 24 atoms:
O (0.430, 0.861, 0.432)
O (0.070, 0.361, 0.068)
O (0.250, 0.251, 0.326)
Cl (0.250, 0.435, 0.684)
Lu (0.750, 0.400, 0.039)
Se (0.750, 0.291, 0.634)
O (0.930, 0.139, 0.568)
Cl (0.250, 0.935, 0.816)
Se (0.250, 0.209, 0.134)
O (0.930, 0.639, 0.932)
Lu (0.750, 0.900, 0.461)
O (0.750, 0.749, 0.674)
Cl (0.750, 0.565, 0.316)
Lu (0.250, 0.100, 0.539)
Se (0.250, 0.709, 0.366)
O (0.430, 0.361, 0.068)
O (0.750, 0.249, 0.826)
O (0.070, 0.861, 0.432)
O (0.250, 0.751, 0.174)
O (0.570, 0.639, 0.932)
O (0.570, 0.139, 0.568)
Cl (0.750, 0.065, 0.184)
Se (0.750, 0.791, 0.866)
Lu (0.250, 0.600, 0.961)

Record 3
The following is a GGA-PBE calculation of an optimized crystal structure of SiO2, from the Materials Project.

Magnetization in Bohr magnetons per cell: 0.001
Calculated volume in Å³/f.u.: 46
Calculated density in g/cm3: 2.160
Corrected total energy (MP2020 scheme) in eV per atom: -8.09

a b c (Å): 10.907 10.907 10.907
angles (deg): 43.34 43.34 43.34
Fractional coordinates of all 36 atoms:
O (0.248, 0.323, 0.596)
O (0.823, 0.748, 0.096)
O (0.752, 0.677, 0.404)
O (0.904, 0.177, 0.252)
O (0.000, 0.500, 0.500)
Si (0.451, 0.541, 0.861)
O (0.677, 0.404, 0.752)
O (0.596, 0.248, 0.323)
O (0.748, 0.096, 0.823)
Si (0.639, 0.959, 0.049)
Si (0.861, 0.451, 0.541)
O (0.404, 0.752, 0.677)
O (0.250, 0.506, 0.994)
Si (0.459, 0.139, 0.549)
O (0.323, 0.596, 0.248)
O (0.994, 0.250, 0.506)
O (0.500, 0.500, 0.000)
Si (0.549, 0.459, 0.139)
O (0.500, 0.000, 0.000)
Si (0.139, 0.549, 0.459)
O (0.506, 0.994, 0.250)
Si (0.959, 0.049, 0.639)
O (0.252, 0.904, 0.177)
O (0.006, 0.750, 0.494)
O (0.500, 0.000, 0.500)
Si (0.041, 0.951, 0.361)
O (0.000, 0.500, 0.000)
O (0.000, 0.000, 0.500)
Si (0.541, 0.861, 0.451)
O (0.494, 0.006, 0.750)
Si (0.049, 0.639, 0.959)
Si (0.951, 0.361, 0.041)
Si (0.361, 0.041, 0.951)
O (0.177, 0.252, 0.904)
O (0.096, 0.823, 0.748)
O (0.750, 0.494, 0.006)

Record 4
The following is a GGA-PBE calculation of an optimized crystal structure of K3P4H5O14, from the Materials Project.

Magnetization in Bohr magnetons per cell: 0.002
Calculated volume in Å³/f.u.: 340
Calculated density in g/cm3: 2.300
Corrected total energy (MP2020 scheme) in eV per atom: -6.57

a b c (Å): 9.831 9.831 11.114
angles (deg): 55.79 55.79 54.77
Fractional coordinates of all 52 atoms:
O (0.068, 0.911, 0.423)
H (0.850, 0.493, 0.448)
K (0.905, 0.792, 0.884)
O (0.932, 0.089, 0.577)
P (0.729, 0.208, 0.984)
K (0.208, 0.095, 0.616)
P (0.485, 0.874, 0.307)
O (0.381, 0.056, 0.212)
O (0.597, 0.266, 0.639)
H (0.493, 0.850, 0.948)
H (0.777, 0.727, 0.231)
K (0.439, 0.561, 0.750)
P (0.126, 0.515, 0.193)
O (0.801, 0.677, 0.688)
O (0.859, 0.493, 0.945)
H (0.273, 0.223, 0.269)
O (0.323, 0.199, 0.812)
O (0.216, 0.586, 0.453)
O (0.677, 0.187, 0.147)
K (0.561, 0.439, 0.250)
H (0.223, 0.273, 0.769)
O (0.586, 0.216, 0.953)
H (0.727, 0.777, 0.731)
H (0.000, 0.000, 0.500)
K (0.095, 0.208, 0.116)
O (0.784, 0.414, 0.547)
P (0.271, 0.792, 0.016)
O (0.187, 0.677, 0.647)
O (0.266, 0.597, 0.139)
O (0.403, 0.734, 0.361)
O (0.677, 0.801, 0.188)
O (0.414, 0.784, 0.047)
O (0.323, 0.813, 0.853)
H (0.507, 0.150, 0.052)
H (0.150, 0.507, 0.552)
O (0.734, 0.403, 0.861)
P (0.208, 0.729, 0.484)
K (0.792, 0.905, 0.384)
O (0.056, 0.381, 0.712)
O (0.619, 0.944, 0.788)
O (0.199, 0.323, 0.312)
O (0.944, 0.619, 0.288)
O (0.813, 0.323, 0.353)
P (0.874, 0.485, 0.807)
O (0.507, 0.141, 0.555)
P (0.792, 0.271, 0.516)
O (0.141, 0.507, 0.055)
O (0.911, 0.068, 0.923)
P (0.515, 0.126, 0.693)
O (0.089, 0.932, 0.077)
H (0.000, 0.000, 0.000)
O (0.493, 0.859, 0.445)